Entry 1:
DFT (PBE) results for crystalline LaErIn2 at its relaxed geometry.

POSCAR file:
```
LaErIn2
1.0
0.000 3.856 3.856
3.856 0.000 3.856
3.856 3.856 0.000
La In Er
1 2 1
direct
0.000 0.000 0.000
0.250 0.250 0.250
0.750 0.750 0.750
0.500 0.500 0.500
```

Output
**Calculated formation energy**: -1.87 eV/f.u.
**E**: -4.2204 eV/atom


Entry 2:
DFT (PBE) results for crystalline LiErIn2 at its relaxed geometry.

POSCAR file:
```
LiErIn2
1.0
2.476 -3.670 -2.558
-1.821 -4.778 -0.017
-2.024 -1.949 -4.272
Li Er In
1 1 2
direct
0.000 0.000 0.000
0.500 0.500 0.500
0.750 0.750 0.750
0.250 0.250 0.250
```

Output
**Calculated formation energy**: -1.46 eV/f.u.
**E**: -3.3599 eV/atom


Entry 3:
DFT (PBE) results for crystalline ErMgIn at its relaxed geometry.

POSCAR file:
```
ErMgIn
1.0
0.941 3.872 6.401
-3.022 -6.905 0.180
4.207 -1.828 0.488
Mg Er In
3 3 3
direct
0.246 0.000 0.500
0.754 0.754 0.500
0.000 0.246 0.500
0.424 0.424 0.000
0.000 0.576 0.000
0.576 0.000 0.000
0.333 0.667 0.500
0.000 0.000 0.000
0.667 0.333 0.500
```

Output
**Calculated formation energy**: -1.08 eV/f.u.
**E**: -3.3342 eV/atom


Entry 4:
DFT (PBE) results for crystalline Er3InN at its relaxed geometry.

POSCAR file:
```
Er3InN
1.0
-2.215 3.843 1.739
-4.150 -1.635 -1.673
-0.753 -2.292 4.108
Er In N
3 1 1
direct
0.500 0.000 0.500
0.500 0.500 0.000
0.000 0.500 0.500
0.000 0.000 0.000
0.500 0.500 0.500
```

Output
**Calculated formation energy**: -5.42 eV/f.u.
**E**: -5.9708 eV/atom


Entry 5:
DFT (PBE) results for crystalline Er5InNi2 at its relaxed geometry.

POSCAR file:
```
Er5InNi2
1.0
-0.229 -8.474 1.206
6.037 -1.164 5.960
-6.585 5.467 0.271
Er Ni In
10 4 2
direct
0.000 0.000 0.000
0.704 0.527 0.500
0.973 0.796 0.500
0.527 0.027 0.823
0.500 0.500 0.000
0.473 0.973 0.177
0.204 0.704 0.177
0.296 0.473 0.500
0.027 0.204 0.500
0.796 0.296 0.823
0.376 0.124 0.500
0.124 0.624 0.748
0.624 0.876 0.500
0.876 0.376 0.252
0.250 0.250 0.000
0.750 0.750 0.000
```

Output
**Spin magnetization**: 0.000 μB/atom
**Calculated formation energy**: -2.97 eV/f.u.
**E**: -5.0145 eV/atom


Entry 6:
DFT (PBE) results for crystalline ErInNi4 at its relaxed geometry.

POSCAR file:
```
ErInNi4
1.0
-3.003 3.593 1.642
-0.315 4.292 -2.471
-4.131 1.121 -2.510
Ni Er In
4 1 1
direct
0.626 0.626 0.122
0.626 0.626 0.626
0.122 0.626 0.626
0.626 0.122 0.626
0.250 0.250 0.250
0.000 0.000 0.000
```

Output
**Calculated formation energy**: -2.42 eV/f.u.
**E**: -5.4762 eV/atom


Entry 7:
DFT (PBE) results for crystalline Er10In20Ni9 at its relaxed geometry.

POSCAR file:
```
Er10In20Ni9
1.0
13.427 0.000 0.000
0.000 13.427 0.000
0.000 0.000 9.013
Ni In Er
18 40 20
direct
0.344 0.156 0.898
0.844 0.656 0.102
0.500 0.777 0.409
0.344 0.844 0.898
0.500 0.500 0.000
0.223 0.500 0.591
0.277 0.000 0.409
0.777 0.500 0.591
0.000 0.000 0.000
0.156 0.656 0.102
0.500 0.223 0.409
0.723 0.000 0.409
0.656 0.844 0.898
0.156 0.344 0.102
0.844 0.344 0.102
0.000 0.277 0.591
0.000 0.723 0.591
0.656 0.156 0.898
0.153 0.847 0.000
0.131 0.869 0.500
0.667 0.000 0.094
0.369 0.631 0.500
0.616 0.500 0.764
0.384 0.500 0.764
0.368 0.868 0.590
0.653 0.653 0.000
0.653 0.347 0.000
0.500 0.833 0.094
0.631 0.631 0.500
0.631 0.369 0.500
0.869 0.869 0.500
0.347 0.653 0.000
0.000 0.333 0.906
0.847 0.847 0.000
0.632 0.132 0.590
0.000 0.116 0.764
0.632 0.868 0.590
0.868 0.368 0.410
0.847 0.153 0.000
0.000 0.667 0.906
0.000 0.884 0.764
0.132 0.368 0.410
0.368 0.132 0.590
0.153 0.153 0.000
0.500 0.616 0.236
0.132 0.632 0.410
0.833 0.500 0.906
0.131 0.131 0.500
0.167 0.500 0.906
0.369 0.369 0.500
0.868 0.632 0.410
0.333 0.000 0.094
0.500 0.167 0.094
0.347 0.347 0.000
0.116 0.000 0.236
0.869 0.131 0.500
0.500 0.384 0.236
0.884 0.000 0.236
0.000 0.500 0.162
0.500 0.000 0.838
0.297 0.797 0.266
0.000 0.777 0.233
0.797 0.297 0.734
0.000 0.223 0.233
0.777 0.000 0.767
0.703 0.797 0.266
0.797 0.703 0.734
0.500 0.277 0.767
0.203 0.703 0.734
0.223 0.000 0.767
0.000 0.500 0.640
0.203 0.297 0.734
0.297 0.203 0.266
0.500 0.723 0.767
0.277 0.500 0.233
0.703 0.203 0.266
0.723 0.500 0.233
0.500 0.000 0.360
```

Output
**Spin magnetization**: 0.002 μB/atom
**Calculated formation energy**: -16.34 eV/f.u.
**E**: -4.3351 eV/atom


Entry 8:
DFT (PBE) results for crystalline ErInO3 at its relaxed geometry.

POSCAR file:
```
ErInO3
1.0
-4.037 -0.336 4.859
0.443 -4.812 -4.082
8.769 -5.075 6.934
O Er In
18 6 6
direct
0.305 0.000 0.169
0.364 0.364 0.325
0.667 0.333 0.528
0.000 0.364 0.825
0.636 0.000 0.325
0.000 0.000 0.961
0.667 0.333 0.028
0.000 0.305 0.169
0.636 0.636 0.825
0.695 0.000 0.669
0.333 0.667 0.528
0.364 0.000 0.825
0.695 0.695 0.169
0.000 0.636 0.325
0.000 0.000 0.461
0.305 0.305 0.669
0.333 0.667 0.028
0.000 0.695 0.669
0.000 0.000 0.765
0.667 0.333 0.730
0.000 0.000 0.265
0.333 0.667 0.230
0.333 0.667 0.730
0.667 0.333 0.230
0.666 0.000 0.496
0.000 0.334 0.996
0.666 0.666 0.996
0.000 0.666 0.496
0.334 0.334 0.496
0.334 0.000 0.996
```

Output
**Calculated formation energy**: -15.06 eV/f.u.
**E**: -7.0322 eV/atom